# 1
## NaZn4H6SClO16 (GGA-PBE)

Data for a relaxed structure of NaZn4H6SClO16.

## Properties
ΔE to the lowest computed polymorph = 77 meV/atom
calculated density = 2637 kg/m3
ΔE_f = -1.3002 eV per atom

```
NaZn4H6SClO16
1.0
-4.274 -7.496 0.011
-4.115 7.403 -0.032
-0.031 0.037 -12.379
O H Zn S Cl Na
32 12 8 2 2 2
Cartesian
-2.845 2.368 -3.428
-6.914 1.462 -6.082
-3.351 -1.684 -4.116
-4.972 1.206 -3.385
-4.687 5.537 -1.225
-5.973 -2.870 -0.963
-3.497 -3.700 -9.049
-3.580 -0.800 -0.956
-5.320 3.867 -11.477
-4.997 -5.991 -6.131
-1.298 1.415 -1.198
-3.099 -3.923 -0.922
-1.506 -1.518 -6.317
-4.840 0.744 -11.443
-3.448 -1.263 -9.013
-3.347 3.048 -8.221
-3.733 -5.593 -11.174
-7.122 -1.471 -11.201
-4.228 -2.452 -11.032
-3.922 -5.280 -6.076
-4.191 2.396 -1.367
-5.068 1.628 -8.283
-2.447 2.814 -11.436
-4.498 5.224 -6.323
-1.871 -0.419 -11.182
-3.422 5.935 -6.268
-4.359 2.542 -8.890
-5.574 -2.424 -8.971
-4.923 3.644 -3.350
-5.073 -3.104 -4.178
-6.549 0.363 -1.217
-4.060 -2.598 -3.509
-2.350 -0.608 -10.332
-3.532 -0.769 -1.929
-1.703 1.730 -2.047
-3.060 -3.931 -1.895
-2.408 2.870 -10.464
-6.069 0.552 -2.067
-5.360 3.875 -10.504
-6.011 -2.926 -1.935
-3.634 -5.089 -10.325
-4.785 5.033 -2.074
-6.717 -1.786 -10.352
-4.888 0.713 -10.470
-2.960 0.978 -12.312
-4.288 -7.438 -10.626
-4.894 -4.424 -0.059
-6.083 2.094 -12.362
-3.526 4.368 -12.340
-2.337 -2.150 -0.037
-5.459 -1.034 -0.087
-4.131 7.382 -1.773
-4.186 -2.466 -9.500
-4.234 2.410 -2.898
-8.329 0.005 -8.445
-0.090 -0.061 -3.954
-3.984 2.194 -5.866
-4.436 -2.250 -6.532
```

# 2
## Ba2Ga2O5 (GGA-PBE)

Data for a relaxed structure of Ba2Ga2O5.

## Properties
calculated density = 6185 kg/m3
ΔE_f = -2.5312 eV per atom

```
Ba2Ga2O5
1.0
-1.400 -3.309 -1.754
3.058 -2.091 1.504
-4.486 -1.692 6.773
O Ba Ga
5 2 2
Cartesian
0.499 -1.434 2.307
-1.730 -2.043 0.679
-1.414 -3.546 3.262
-4.156 -2.958 4.341
-1.927 -2.348 5.969
-2.243 -0.846 3.387
0.000 0.000 0.000
-0.388 -3.159 1.712
-2.440 -3.933 4.811
```

Q: Which of these has the highest calculated density?
A: Ba2Ga2O5

Q: What is the ΔE_f in the first record?
A: -1.3002 eV per atom

Q: Which value of calculated density does entry 1 give?
A: 2637 kg/m3

Q: Number 1 is which compound?
A: NaZn4H6SClO16